Entry 1:
A relaxed Eu2GeB2O8 crystal. Source: the Materials Project database, functional GGA-PBE.

Cell: 4.5033 9.6230 13.7075 Å, 90.00 90.00 90.00°
Last column: nearest neighbours and their distance in Å.
Atoms (fractional coordinates):
B (0.0330, 0.7950, 0.7010)  4 O 1.46-1.51
B (0.4670, 0.2950, 0.7990)  4 O 1.46-1.51
B (0.5330, 0.7950, 0.7990)  4 O 1.46-1.51
B (0.4670, 0.2050, 0.2010)  4 O 1.46-1.51
B (0.9670, 0.2950, 0.7010)  4 O 1.46-1.51
B (0.9670, 0.2050, 0.2990)  4 O 1.46-1.51
B (0.0330, 0.7050, 0.2990)  4 O 1.46-1.51
B (0.5330, 0.7050, 0.2010)  4 O 1.46-1.51
O (0.8484, 0.2654, 0.3933)  1 B 1.51
O (0.9606, 0.4460, 0.6939)  1 B 1.46
O (0.6516, 0.7346, 0.8933)  1 B 1.51
O (0.7752, 0.2587, 0.2179)  2 B 1.50
O (0.2054, 0.9010, 0.9954)  1 Ge 1.75
O (0.0394, 0.9460, 0.6939)  1 B 1.46
O (0.1516, 0.7346, 0.6067)  1 B 1.51
O (0.2248, 0.7413, 0.7821)  2 B 1.50
O (0.0394, 0.5540, 0.3061)  1 B 1.46
O (0.1516, 0.7654, 0.3933)  1 B 1.51
O (0.4606, 0.4460, 0.8061)  1 B 1.46
O (0.3484, 0.2654, 0.1067)  1 B 1.51
O (0.2248, 0.7587, 0.2179)  2 B 1.50
O (0.6516, 0.7654, 0.1067)  1 B 1.51
O (0.9606, 0.0540, 0.3061)  1 B 1.46
O (0.7946, 0.4010, 0.9954)  1 Ge 1.75
O (0.7054, 0.9010, 0.5046)  1 Ge 1.75
O (0.2752, 0.2587, 0.2821)  2 B 1.50
O (0.7946, 0.0990, 0.0046)  1 Ge 1.75
O (0.4606, 0.0540, 0.1939)  1 B 1.46
O (0.7054, 0.5990, 0.4954)  1 Ge 1.75
O (0.7248, 0.7587, 0.2821)  2 B 1.50
O (0.8484, 0.2346, 0.6067)  1 B 1.51
O (0.7248, 0.7413, 0.7179)  2 B 1.50
O (0.3484, 0.2346, 0.8933)  1 B 1.51
O (0.5394, 0.5540, 0.1939)  1 B 1.46
O (0.2946, 0.0990, 0.4954)  1 Ge 1.75
O (0.7752, 0.2413, 0.7821)  2 B 1.50
O (0.2946, 0.4010, 0.5046)  1 Ge 1.75
O (0.2054, 0.5990, 0.0046)  1 Ge 1.75
O (0.2752, 0.2413, 0.7179)  2 B 1.50
O (0.5394, 0.9460, 0.8061)  1 B 1.46
Ge (0.5802, 0.2500, 0.0000)  4 O 1.75-1.80
Ge (0.0802, 0.2500, 0.5000)  4 O 1.75-1.80
Ge (0.4198, 0.7500, 0.0000)  4 O 1.75-1.80
Ge (0.9198, 0.7500, 0.5000)  4 O 1.75-1.80
Eu (0.0350, 0.4711, 0.1398)  7 O 2.35-2.59
Eu (0.9650, 0.9711, 0.1398)  7 O 2.35-2.59
Eu (0.4650, 0.9711, 0.3602)  7 O 2.35-2.59
Eu (0.5350, 0.0289, 0.6398)  7 O 2.35-2.59
Eu (0.5350, 0.4711, 0.3602)  7 O 2.35-2.59
Eu (0.9650, 0.5289, 0.8602)  7 O 2.35-2.59
Eu (0.0350, 0.0289, 0.8602)  7 O 2.35-2.59
Eu (0.4650, 0.5289, 0.6398)  7 O 2.35-2.59

Spin magnetization (μB per atom): 0.92
Formation energy (eV per atom): -2.88

=====

Entry 2:
A relaxed Eu2BIN2 crystal. Source: the Materials Project database, functional GGA-PBE.

Cell: 10.2413 4.1560 13.1744 Å, 90.64 91.15 91.01°
Last column: nearest neighbours and their distance in Å.
Atoms (fractional coordinates):
N (0.2658, 0.2162, 0.2113)  1 B 1.35
N (0.0509, 0.2570, 0.0901)  1 B 1.35
N (0.5229, 0.7277, 0.3369)  1 B 1.35
N (0.3078, 0.7513, 0.4520)  1 B 1.35
N (0.4771, 0.2723, 0.6631)  1 B 1.35
N (0.6922, 0.2487, 0.5480)  1 B 1.35
N (0.7342, 0.7838, 0.7887)  1 B 1.35
N (0.9491, 0.7430, 0.9099)  1 B 1.35
I (0.0760, 0.2542, 0.6431)  6 Eu 3.45-3.58
I (0.3506, 0.7590, 0.9080)  6 Eu 3.46-3.58
I (0.6494, 0.2410, 0.0920)  6 Eu 3.46-3.58
I (0.9240, 0.7458, 0.3569)  6 Eu 3.45-3.58
B (0.1580, 0.2352, 0.1506)  2 N 1.35
B (0.5814, 0.2598, 0.6020)  2 N 1.35
B (0.4186, 0.7402, 0.3980)  2 N 1.35
B (0.8420, 0.7648, 0.8494)  2 N 1.35
Eu (0.6069, 0.2775, 0.8239)  3 N 2.48-2.51
Eu (0.3931, 0.7225, 0.1761)  3 N 2.48-2.51
Eu (0.0791, 0.2517, 0.9055)  3 N 2.45-2.48
Eu (0.9209, 0.7483, 0.0945)  3 N 2.45-2.48
Eu (0.6520, 0.2372, 0.3636)  3 N 2.46-2.49
Eu (0.3480, 0.7628, 0.6364)  3 N 2.46-2.49
Eu (0.1968, 0.2389, 0.3902)  3 N 2.48-2.52
Eu (0.8032, 0.7611, 0.6098)  3 N 2.48-2.52

Spin magnetization (μB per atom): 2.33
Formation energy (eV per atom): -1.41

=====

Entry 3:
A relaxed Eu2BIN2 crystal. Source: the Materials Project database, functional GGA-PBE.

Cell: 4.1340 10.3106 13.1272 Å, 92.15 90.00 90.00°
Last column: nearest neighbours and their distance in Å.
Atoms (fractional coordinates):
B (0.2500, 0.1607, 0.1484)  2 N 1.34-1.35
B (0.2500, 0.5809, 0.6045)  2 N 1.35
B (0.7500, 0.4191, 0.3955)  2 N 1.35
B (0.7500, 0.8393, 0.8516)  2 N 1.34-1.35
N (0.2500, 0.4752, 0.6621)  1 B 1.35
N (0.7500, 0.9495, 0.9096)  1 B 1.34
N (0.2500, 0.6926, 0.5543)  1 B 1.35
N (0.7500, 0.5248, 0.3379)  1 B 1.35
N (0.7500, 0.3074, 0.4457)  1 B 1.35
N (0.2500, 0.2709, 0.2075)  1 B 1.35
N (0.7500, 0.7291, 0.7925)  1 B 1.35
N (0.2500, 0.0505, 0.0904)  1 B 1.34
Eu (0.2500, 0.1959, 0.3835)  3 N 2.46-2.49
Eu (0.2500, 0.0781, 0.9042)  3 N 2.46-2.47
Eu (0.7500, 0.3977, 0.1736)  3 N 2.48-2.49
Eu (0.2500, 0.6023, 0.8264)  3 N 2.48-2.49
Eu (0.7500, 0.9219, 0.0958)  3 N 2.46-2.47
Eu (0.2500, 0.6525, 0.3690)  3 N 2.45-2.48
Eu (0.7500, 0.8041, 0.6165)  3 N 2.46-2.49
Eu (0.7500, 0.3475, 0.6310)  3 N 2.45-2.48
I (0.7500, 0.9218, 0.3582)  6 Eu 3.45-3.64
I (0.2500, 0.0782, 0.6418)  6 Eu 3.45-3.64
I (0.7500, 0.3467, 0.9042)  6 Eu 3.46-3.59
I (0.2500, 0.6533, 0.0958)  6 Eu 3.46-3.59

Spin magnetization (μB per atom): 2.33
Formation energy (eV per atom): -1.41

=====

Entry 4:
A relaxed EuB4Ir4 crystal. Source: the Materials Project database, functional GGA-PBE.

Cell: 7.6996 7.6996 3.9808 Å, 90.00 90.00 90.00°
Last column: nearest neighbours and their distance in Å.
Atoms (fractional coordinates):
Ir (0.1107, 0.6557, 0.8925)  4 B 2.11-2.17
Ir (0.8443, 0.6107, 0.3925)  4 B 2.11-2.17
Ir (0.6107, 0.1557, 0.6075)  4 B 2.11-2.17
Ir (0.3443, 0.1107, 0.1075)  4 B 2.11-2.17
Ir (0.8893, 0.3443, 0.8925)  4 B 2.11-2.17
Ir (0.1557, 0.3893, 0.3925)  4 B 2.11-2.17
Ir (0.3893, 0.8443, 0.6075)  4 B 2.11-2.17
Ir (0.6557, 0.8893, 0.1075)  4 B 2.11-2.17
B (0.7788, 0.3421, 0.3916)  1 B 1.87
B (0.2788, 0.8421, 0.1084)  1 B 1.87
B (0.6579, 0.7788, 0.6084)  1 B 1.87
B (0.1579, 0.2788, 0.8916)  1 B 1.87
B (0.7212, 0.1579, 0.1084)  1 B 1.87
B (0.8421, 0.7212, 0.8916)  1 B 1.87
B (0.3421, 0.2212, 0.6084)  1 B 1.87
B (0.2212, 0.6579, 0.3916)  1 B 1.87
Eu (0.0000, 0.0000, 0.5000)  8 B 2.92-3.17, 8 Ir 3.19-3.26
Eu (0.5000, 0.5000, 0.0000)  8 B 2.92-3.17, 8 Ir 3.19-3.26

Formation energy (eV per atom): -0.51